MnFe2P2O18: optimized geometry, PBE+U.

## Properties
For the offset from the most stable computed form, the calculation gives 404 meV per atom. As for the mass density: 2691 kg/m3. As for the space group: P-1 (2). The MP2020-corrected energy comes out at -6.093 eV/atom. For the formation energy, the calculation gives -14.1 eV per formula unit. The value obtained for the volume is 13.86 A^3/atom. The value obtained for the final energy is -262.1 eV per cell. As for the crystal system: triclinic.

```
data_MnFe2P2O18
_chemical_formula_sum 'Mn2 Fe4 P4 O36'
_symmetry_space_group_name_H-M 'P 1'
_symmetry_Int_Tables_number 1
_symmetry_space_group_name_Hall 'P 1'
_cell_length_a 6.869
_cell_length_b 10.045
_cell_length_c 10.261
_cell_angle_alpha 106.33
_cell_angle_beta 107.41
_cell_angle_gamma 94.68
loop_
_atom_site_label
_atom_site_type_symbol
_atom_site_fract_x
_atom_site_fract_y
_atom_site_fract_z
Mn1 Mn 0.152 0.002 0.280
Mn2 Mn 0.848 0.998 0.720
Fe1 Fe 0.000 0.500 0.500
Fe2 Fe 0.237 0.499 0.247
Fe3 Fe 0.500 0.500 0.000
Fe4 Fe 0.763 0.501 0.753
P1 P 0.055 0.305 0.907
P2 P 0.364 0.314 0.460
P3 P 0.636 0.686 0.540
P4 P 0.945 0.695 0.093
O1 O 0.006 0.486 0.318
O2 O 0.017 0.128 0.203
O3 O 0.046 0.374 0.059
O4 O 0.059 0.145 0.876
O5 O 0.074 0.943 0.635
O6 O 0.143 0.678 0.205
O7 O 0.163 0.670 0.632
O8 O 0.197 0.888 0.389
O9 O 0.219 0.389 0.539
O10 O 0.251 0.375 0.887
O11 O 0.316 0.328 0.307
O12 O 0.333 0.154 0.445
O13 O 0.335 0.973 0.195
O14 O 0.379 0.714 0.966
O15 O 0.385 0.072 0.714
O16 O 0.410 0.621 0.445
O17 O 0.445 0.519 0.166
O18 O 0.451 0.780 0.903
O19 O 0.549 0.220 0.097
O20 O 0.555 0.481 0.834
O21 O 0.590 0.379 0.555
O22 O 0.615 0.928 0.286
O23 O 0.621 0.286 0.034
O24 O 0.665 0.027 0.805
O25 O 0.667 0.846 0.555
O26 O 0.684 0.672 0.693
O27 O 0.749 0.625 0.113
O28 O 0.781 0.611 0.461
O29 O 0.803 0.112 0.611
O30 O 0.837 0.330 0.368
O31 O 0.857 0.322 0.795
O32 O 0.926 0.057 0.365
O33 O 0.941 0.855 0.124
O34 O 0.954 0.626 0.941
O35 O 0.983 0.872 0.797
O36 O 0.994 0.514 0.682
```

---

MgFe6O6F6: optimized geometry, PBE+U.

## Properties
For the offset from the most stable computed form, the calculation gives 14 meV per atom. As for the mass density: 4231 kg/m3. As for the space group: P1 (1). The MP2020-corrected energy comes out at -7.056 eV/atom. For the formation energy, the calculation gives -40.5 eV per formula unit. The value obtained for the volume is 11.76 A^3/atom. The value obtained for the final energy is -113.6 eV per cell. As for the crystal system: triclinic.

```
data_MgFe6O6F6
_chemical_formula_sum 'Mg1 Fe6 O6 F6'
_symmetry_space_group_name_H-M 'P 1'
_symmetry_Int_Tables_number 1
_symmetry_space_group_name_Hall 'P 1'
_cell_length_a 5.140
_cell_length_b 5.735
_cell_length_c 7.693
_cell_angle_alpha 83.25
_cell_angle_beta 85.79
_cell_angle_gamma 83.94
loop_
_atom_site_label
_atom_site_type_symbol
_atom_site_fract_x
_atom_site_fract_y
_atom_site_fract_z
Mg1 Mg 0.000 0.000 0.000
Fe1 Fe 0.050 0.401 0.201
Fe2 Fe 0.496 0.154 0.834
Fe3 Fe 0.502 0.484 0.493
Fe4 Fe 0.526 0.802 0.180
Fe5 Fe 0.988 0.604 0.818
Fe6 Fe 0.991 0.989 0.525
O1 O 0.151 0.314 0.947
O2 O 0.193 0.680 0.601
O3 O 0.347 0.515 0.275
O4 O 0.838 0.296 0.416
O5 O 0.845 0.960 0.764
O6 O 0.871 0.673 0.069
F1 F 0.165 0.011 0.251
F2 F 0.326 0.180 0.586
F3 F 0.337 0.831 0.935
F4 F 0.661 0.137 0.086
F5 F 0.676 0.470 0.738
F6 F 0.699 0.799 0.429
```